Entry 1:
DFT (PBE with a Hubbard U) results for Sr2La2MgMnO8 after structural relaxation.

```
56
Lattice="3.893 0.000 0.000 0.000 -3.864 25.183 -0.001 -7.733 -0.001" Properties=species:S:1:pos:R:3 pbc="T T T"
Sr 3.892 -3.864 17.132
Sr 0.000 -3.866 4.534
Sr -0.001 -7.731 17.132
Sr 0.000 -3.866 8.049
Sr 0.000 -3.864 20.649
Sr 3.892 -7.730 20.649
Sr -0.001 -7.732 4.534
Sr -0.001 -7.732 8.049
O 1.946 -7.731 18.889
O -0.001 -7.731 23.031
O 1.946 -7.732 6.293
O 1.946 -5.799 8.326
O 1.945 -9.664 20.920
O 3.892 -9.664 18.889
O -0.001 -9.663 25.182
O 0.000 -5.798 18.889
O -0.001 -7.732 10.435
O 0.000 -1.933 6.293
O 3.892 -7.731 14.747
O 1.946 -5.799 4.260
O 0.000 -3.866 10.435
O 1.946 -5.798 20.921
O 1.946 -3.864 25.183
O 0.000 -5.798 12.591
O 1.946 -3.864 18.889
O 0.000 -5.797 25.182
O 1.946 -7.730 25.182
O 1.946 -3.865 12.591
O 3.892 -3.864 23.032
O 3.892 -3.866 2.150
O 0.000 -5.799 6.293
O 1.945 -9.664 16.857
O 3.892 -3.864 14.748
O 3.892 -9.664 12.591
O 1.946 -5.797 16.857
O 1.946 -3.865 6.293
O 3.892 -7.732 2.150
O 1.946 -7.731 12.591
O 1.946 -1.932 4.261
O 1.946 -1.932 8.326
Mn 1.946 -5.798 18.890
Mn 1.946 -5.799 6.292
Mn 1.945 -9.664 18.890
Mn 1.946 -1.932 6.292
Mg 0.000 -3.865 12.591
Mg -0.001 -7.731 12.591
Mg 0.000 -3.866 0.000
Mg -0.001 -7.733 -0.001
La 1.946 -1.932 1.762
La 1.946 -5.799 10.826
La 1.946 -5.798 14.355
La 1.945 -9.664 23.422
La 1.946 -5.797 23.423
La 1.946 -1.932 10.826
La 1.945 -9.664 14.354
La 1.946 -5.799 1.761
```

The formation energy comes out at -3094 meV/atom. The calculation puts the total energy at -7.125 eV per atom. The polymorph energy (0 for the lowest one) comes out at 0.0761 eV per atom.

Entry 2:
DFT (PBE with a Hubbard U) results for Sr2La2MgMnO8 after structural relaxation.

```
28
Lattice="3.645 -0.100 -1.357 -1.647 14.479 -5.477 0.484 0.515 6.841" Properties=species:S:1:pos:R:3 pbc="T T T"
La 1.782 6.050 -1.229
La 0.679 8.847 1.264
La 1.391 9.666 -2.627
La 0.289 12.463 -0.134
O 0.240 4.394 0.353
O 2.565 6.949 0.773
O 0.661 0.718 1.709
O 1.049 11.339 1.983
O -0.597 5.352 -1.993
O 2.667 13.161 0.631
O 1.425 3.591 -1.990
O 0.645 14.922 0.627
O 2.167 10.522 -0.620
O 1.021 7.174 -3.346
O -0.206 1.810 -0.685
O -0.097 7.991 -0.742
O -0.494 11.564 -2.136
O -1.029 9.049 -3.423
O 1.830 14.119 -1.716
O 3.056 3.316 2.406
Mg -1.222 10.894 -4.092
Mg 3.293 7.619 2.730
Sr 1.082 5.245 2.539
Sr 0.988 13.268 -3.902
Sr 2.213 2.407 0.201
Sr 1.504 1.627 3.913
Mn 3.712 4.016 4.107
Mn 0.005 0.018 0.008
```

The formation energy comes out at -3146 meV/atom. The calculation puts the total energy at -7.177 eV per atom. The polymorph energy (0 for the lowest one) comes out at 0.0233 eV per atom. Its space-group type is P-1.

Entry 3:
DFT (PBE with a Hubbard U) results for Sr2La2MgMnO8 after structural relaxation.

```
28
Lattice="5.504 0.000 0.000 0.000 5.506 0.000 0.000 0.000 12.614" Properties=species:S:1:pos:R:3 pbc="T T T"
O 4.143 1.449 6.293
O 0.000 2.753 4.313
O 1.361 1.449 6.293
O 4.174 1.352 12.614
O 2.752 0.000 8.409
O 4.174 4.154 12.614
O 1.330 4.154 12.614
O 1.330 1.352 12.614
O 2.752 2.753 10.407
O 2.752 2.753 2.223
O 0.000 0.000 10.623
O 2.752 0.000 4.063
O 0.000 2.753 8.438
O 4.143 4.058 6.293
O 0.000 0.000 2.003
O 1.361 4.058 6.293
Sr 0.000 0.000 8.099
Sr 0.000 0.000 4.524
Sr 2.752 0.000 10.800
Sr 0.000 2.753 1.810
Mg 2.752 0.000 6.339
Mg 2.752 2.753 12.609
La 2.752 2.753 4.540
La 2.752 0.000 1.751
La 2.752 2.753 8.091
La 0.000 2.753 10.878
Mn 0.000 0.000 0.000
Mn 0.000 2.753 6.278
```

The formation energy comes out at -3170 meV/atom. The calculation puts the total energy at -7.201 eV per atom. The polymorph energy (0 for the lowest one) comes out at 0.0000 eV per atom. Its space-group type is Pmm2.

Entry 4:
DFT (PBE with a Hubbard U) results for SrLaMgMn2O6 after structural relaxation.

```
11
Lattice="6.373 -0.292 0.561 -0.298 5.707 -0.235 -2.578 -2.873 4.192" Properties=species:S:1:pos:R:3 pbc="T T T"
O 0.372 3.870 0.231
O 2.716 -1.621 4.048
O 4.378 2.330 2.796
O -0.446 0.264 1.865
O 3.683 4.140 0.268
O 2.145 1.112 0.685
Sr 0.627 2.753 2.615
Mg 4.901 2.824 1.004
Mn 0.269 0.129 0.060
Mn -0.446 0.026 3.902
La 3.588 0.049 2.267
```

The formation energy comes out at -2696 meV/atom. The calculation puts the total energy at -7.131 eV per atom. Its space-group type is P1.

Entry 5:
DFT (PBE with a Hubbard U) results for La4MgMo2O12 after structural relaxation.

```
19
Lattice="5.647 0.041 -0.124 0.048 5.932 0.060 -0.137 0.075 8.019" Properties=species:S:1:pos:R:3 pbc="T T T"
O 2.044 2.851 6.213
O 1.623 1.049 3.591
O 5.049 0.277 1.894
O 1.724 1.300 0.512
O 3.934 4.999 4.363
O 1.240 4.179 0.511
O 4.317 1.869 7.443
O 3.833 4.748 7.442
O 3.514 3.197 1.741
O 0.882 4.321 3.642
O 4.675 1.727 4.312
O 0.508 5.771 6.061
Mo 2.710 3.062 7.987
Mo 5.578 0.079 3.885
La 2.782 5.554 2.120
La 2.775 0.495 5.834
La 0.211 2.603 2.088
La 5.346 3.445 5.866
Mg 5.510 0.116 7.894
```

The formation energy comes out at -3158 meV/atom. The calculation puts the total energy at -7.777 eV per atom. Its space-group type is P-1.

Entry 6:
DFT (PBE with a Hubbard U) results for NaLaMgWO6 after structural relaxation.

```
20
Lattice="3.177 -4.502 1.028 4.568 3.035 -1.154 0.535 2.116 7.653" Properties=species:S:1:pos:R:3 pbc="T T T"
W 6.216 0.460 5.554
W 2.064 0.190 1.973
O 5.874 -1.291 6.335
O 5.677 0.057 3.817
O 2.407 1.941 1.191
O 2.603 0.593 3.710
O 8.055 0.042 5.282
O 1.499 -0.271 0.020
O 3.901 -0.322 1.377
O 4.379 0.972 6.150
O 6.781 0.921 7.507
O 0.225 0.608 2.245
O 1.732 -1.710 2.248
O 6.548 2.360 5.278
La 3.520 -2.646 0.490
La 4.226 1.180 -0.617
Na 4.492 2.232 3.211
Na 3.788 -1.582 4.315
Mg 2.349 1.205 5.661
Mg 5.931 -0.555 1.866
```

The formation energy comes out at -2896 meV/atom. The calculation puts the total energy at -7.091 eV per atom. The polymorph energy (0 for the lowest one) comes out at 0.0013 eV per atom. Its space-group type is C2/m.

Entry 7:
DFT (PBE with a Hubbard U) results for NaLaMgWO6 after structural relaxation.

```
20
Lattice="-4.872 -1.922 -1.992 1.384 -5.184 1.616 -3.431 1.306 7.130" Properties=species:S:1:pos:R:3 pbc="T T T"
W -3.318 -0.625 0.836
W -1.857 -1.621 6.106
O -1.057 -1.926 4.444
O -0.990 -4.115 2.348
O -2.448 -0.956 -0.971
O -5.300 -4.302 5.188
O -2.726 -1.290 7.913
O -5.974 -1.778 4.401
O -3.362 -5.051 1.378
O -1.700 -1.455 1.519
O -4.073 -2.391 0.549
O -3.474 -0.791 5.423
O -2.800 -3.316 6.210
O -4.117 -0.321 2.498
Mg -0.183 -2.259 2.628
Mg -4.991 0.012 4.315
Na -1.715 0.653 3.565
Na -3.459 -2.900 3.377
La -1.744 -3.553 -0.188
La 0.000 0.000 0.000
```

The formation energy comes out at -2869 meV/atom. The calculation puts the total energy at -7.063 eV per atom. The polymorph energy (0 for the lowest one) comes out at 0.0284 eV per atom. Its space-group type is P4/nmm.

Entry 8:
DFT (PBE with a Hubbard U) results for NaLaMgWO6 after structural relaxation.

```
20
Lattice="5.610 0.000 0.047 0.000 5.606 0.000 -0.075 0.000 7.959" Properties=species:S:1:pos:R:3 pbc="T T T"
La 1.361 4.204 4.005
La 4.174 1.401 4.001
Mg 4.162 4.204 6.061
Mg 1.373 1.401 1.945
Na 4.132 1.401 0.051
Na 1.403 4.204 7.955
O 4.658 4.204 0.123
O -0.020 2.750 5.546
O 5.555 5.552 2.460
O 2.869 2.826 1.812
O 2.666 2.780 6.194
O -0.020 0.053 5.546
O 2.869 5.582 1.812
O 2.666 0.023 6.194
O 5.555 2.856 2.460
O 0.877 1.401 7.883
O 1.780 1.401 4.043
O 3.755 4.204 3.963
W 1.344 1.401 6.080
W 4.191 4.204 1.926
```

The formation energy comes out at -2897 meV/atom. The calculation puts the total energy at -7.092 eV per atom. The polymorph energy (0 for the lowest one) comes out at 0.0000 eV per atom. Its space-group type is P2_1/m.